A plane-wave DFT calculation with r2SCAN was carried out for a geometry-optimized Ta3Br7 structure.

abc: 9.9183 9.9183 11.8438
angles: 90.00 90.00 91.03
With the nearest neighbours (Å) after each atom.
Fractional coordinates of all 40 atoms:
Br 0.2224 0.9739 0.2611  2 Ta 2.59-2.62
Br 0.2558 0.7442 0.5000  2 Ta 2.60
Br 0.7776 0.0261 0.7389  2 Ta 2.59-2.62
Br 0.0261 0.7776 0.7389  2 Ta 2.59-2.62
Br 0.6009 0.8504 0.9795  2 Ta 2.59-2.63
Br 0.9739 0.2224 0.2611  2 Ta 2.59-2.62
Br 0.7224 0.4739 0.2389  2 Ta 2.59-2.62
Br 0.1009 0.3504 0.5205  2 Ta 2.59-2.63
Br 0.8819 0.3819 0.7500  2 Ta 2.87
Br 0.7442 0.2558 0.5000  2 Ta 2.60
Br 0.6496 0.8991 0.4795  2 Ta 2.59-2.63
Br 0.1496 0.3991 0.0205  2 Ta 2.59-2.63
Br 0.5261 0.2776 0.7611  2 Ta 2.59-2.62
Br 0.1288 0.1288 0.7673  2 Ta 2.62
Br 0.4739 0.7224 0.2389  2 Ta 2.59-2.62
Br 0.2776 0.5261 0.7611  2 Ta 2.59-2.62
Br 0.2442 0.7558 0.0000  2 Ta 2.60
Br 0.8991 0.6496 0.4795  2 Ta 2.59-2.63
Br 0.6288 0.6288 0.7327  2 Ta 2.62
Br 0.3504 0.1009 0.5205  2 Ta 2.59-2.63
Br 0.7558 0.2442 0.0000  2 Ta 2.60
Br 0.8712 0.8712 0.2327  2 Ta 2.62
Br 0.6181 0.1181 0.2500  2 Ta 2.87
Br 0.3991 0.1496 0.0205  2 Ta 2.59-2.63
Br 0.8504 0.6009 0.9795  2 Ta 2.59-2.63
Br 0.1181 0.6181 0.2500  2 Ta 2.87
Br 0.3819 0.8819 0.7500  2 Ta 2.87
Br 0.3712 0.3712 0.2673  2 Ta 2.62
Ta 0.8801 0.8801 0.5807  4 Br 2.59, 4 Ta 2.84
Ta 0.8425 0.0522 0.3919  5 Br 2.60-2.87, 2 Ta 2.84
Ta 0.5522 0.3425 0.1081  5 Br 2.60-2.87, 2 Ta 2.84
Ta 0.0522 0.8425 0.3919  5 Br 2.60-2.87, 2 Ta 2.84
Ta 0.4478 0.6575 0.8919  5 Br 2.60-2.87, 2 Ta 2.84
Ta 0.1199 0.1199 0.4193  4 Br 2.59, 4 Ta 2.84
Ta 0.3801 0.3801 0.9193  4 Br 2.59, 4 Ta 2.84
Ta 0.6199 0.6199 0.0807  4 Br 2.59, 4 Ta 2.84
Ta 0.9478 0.1575 0.6081  5 Br 2.60-2.87, 2 Ta 2.84
Ta 0.1575 0.9478 0.6081  5 Br 2.60-2.87, 2 Ta 2.84
Ta 0.3425 0.5522 0.1081  5 Br 2.60-2.87, 2 Ta 2.84
Ta 0.6575 0.4478 0.8919  5 Br 2.60-2.87, 2 Ta 2.84

Its space group is Cmce. The energy relative to the elements comes out at -10.362 eV per formula unit.

***

A plane-wave DFT calculation with r2SCAN was carried out for a geometry-optimized TaBr5 structure.

abc: 6.3375 13.3133 19.0973
angles: 90.00 90.00 90.00
With the nearest neighbours (Å) after each atom.
Fractional coordinates of all 48 atoms:
Br 0.7208 0.5255 0.6519  1 Ta 2.48
Br 0.2157 0.2007 0.2500  2 Ta 2.72
Br 0.7530 0.0424 0.4396  1 Ta 2.42
Br 0.7792 0.0255 0.6519  1 Ta 2.48
Br 0.7287 0.5485 0.2500  2 Ta 2.72
Br 0.7470 0.5424 0.0604  1 Ta 2.42
Br 0.7713 0.0485 0.2500  2 Ta 2.72
Br 0.2792 0.4745 0.1519  1 Ta 2.48
Br 0.2678 0.7071 0.4400  1 Ta 2.42
Br 0.7678 0.7929 0.5600  1 Ta 2.42
Br 0.7667 0.2755 0.1520  1 Ta 2.48
Br 0.2208 0.9745 0.3481  1 Ta 2.48
Br 0.2792 0.4745 0.3481  1 Ta 2.48
Br 0.2208 0.9745 0.1519  1 Ta 2.48
Br 0.2667 0.2245 0.8480  1 Ta 2.48
Br 0.7530 0.0424 0.0604  1 Ta 2.42
Br 0.2678 0.7071 0.0600  1 Ta 2.42
Br 0.7333 0.7755 0.1520  1 Ta 2.48
Br 0.2843 0.7007 0.2500  2 Ta 2.72
Br 0.7322 0.2929 0.9400  1 Ta 2.42
Br 0.7667 0.2755 0.3480  1 Ta 2.48
Br 0.7678 0.7929 0.9400  1 Ta 2.42
Br 0.2530 0.4576 0.9396  1 Ta 2.42
Br 0.2333 0.7245 0.6520  1 Ta 2.48
Br 0.2322 0.2071 0.4400  1 Ta 2.42
Br 0.2333 0.7245 0.8480  1 Ta 2.48
Br 0.2470 0.9576 0.9396  1 Ta 2.42
Br 0.2470 0.9576 0.5604  1 Ta 2.42
Br 0.2667 0.2245 0.6520  1 Ta 2.48
Br 0.7333 0.7755 0.3480  1 Ta 2.48
Br 0.2530 0.4576 0.5604  1 Ta 2.42
Br 0.7792 0.0255 0.8481  1 Ta 2.48
Br 0.2713 0.4515 0.7500  2 Ta 2.72
Br 0.7470 0.5424 0.4396  1 Ta 2.42
Br 0.2287 0.9515 0.7500  2 Ta 2.72
Br 0.7208 0.5255 0.8481  1 Ta 2.48
Br 0.7843 0.7993 0.7500  2 Ta 2.72
Br 0.7322 0.2929 0.5600  1 Ta 2.42
Br 0.2322 0.2071 0.0600  1 Ta 2.42
Br 0.7157 0.2993 0.7500  2 Ta 2.72
Ta 0.5070 0.6248 0.3594  4 Br 2.42-2.48
Ta 0.9930 0.1248 0.3594  4 Br 2.42-2.48
Ta 0.5070 0.6248 0.1406  4 Br 2.42-2.48
Ta 0.4930 0.3752 0.6406  4 Br 2.42-2.48
Ta 0.0070 0.8752 0.8594  4 Br 2.42-2.48
Ta 0.9930 0.1248 0.1406  4 Br 2.42-2.48
Ta 0.0070 0.8752 0.6406  4 Br 2.42-2.48
Ta 0.4930 0.3752 0.8594  4 Br 2.42-2.48

Its space group is Pnma. The energy relative to the elements comes out at -6.466 eV per formula unit.

***

A plane-wave DFT calculation with r2SCAN was carried out for a geometry-optimized TaTeBr9 structure.

abc: 11.6715 6.7870 10.1757
angles: 76.20 90.00 90.00
With the nearest neighbours (Å) after each atom.
Fractional coordinates of all 22 atoms:
Br 0.0883 0.9608 0.3285  1 Te 2.52
Br 0.4117 0.9608 0.3285  1 Te 2.52
Br 0.2500 0.2968 0.9942  1 Ta 2.44
Br 0.4054 0.7627 0.9800  1 Ta 2.44
Br 0.4013 0.5429 0.6939  1 Ta 2.63
Br 0.5883 0.0392 0.6715  1 Te 2.52
Br 0.9117 0.0392 0.6715  1 Te 2.52
Br 0.7500 0.7032 0.0058  1 Ta 2.44
Br 0.5987 0.4571 0.3061  1 Ta 2.63
Br 0.7500 0.5255 0.6568  1 Te 2.52
Br 0.9013 0.4571 0.3061  1 Ta 2.63
Br 0.0946 0.7627 0.9800  1 Ta 2.44
Br 0.7500 0.0024 0.3193  1 Ta 2.63
Br 0.0987 0.5429 0.6939  1 Ta 2.63
Br 0.2500 0.9976 0.6807  1 Ta 2.63
Br 0.2500 0.4745 0.3432  1 Te 2.52
Br 0.5946 0.2373 0.0200  1 Ta 2.44
Br 0.9054 0.2373 0.0200  1 Ta 2.44
Ta 0.2500 0.6448 0.8575  6 Br 2.44-2.63
Ta 0.7500 0.3552 0.1425  6 Br 2.44-2.63
Te 0.2500 0.7610 0.4621  3 Br 2.52
Te 0.7500 0.2390 0.5379  3 Br 2.52

Its space group is P2_1/m. The energy relative to the elements comes out at -8.548 eV per formula unit.

***

A plane-wave DFT calculation with r2SCAN was carried out for a geometry-optimized TbBr structure.

abc: 10.3143 10.3143 10.3143
angles: 21.38 21.38 21.38
With the nearest neighbours (Å) after each atom.
Fractional coordinates of all 4 atoms:
Br 0.3915 0.3915 0.3915  3 Tb 2.91
Br 0.6085 0.6085 0.6085  3 Tb 2.91
Tb 0.1210 0.1210 0.1210  3 Br 2.91
Tb 0.8790 0.8790 0.8790  3 Br 2.91

Its space group is R-3m. The energy relative to the elements comes out at -2.906 eV per formula unit.

***

A plane-wave DFT calculation with r2SCAN was carried out for a geometry-optimized Tb6Br7 structure.

abc: 10.6922 10.6922 11.7734
angles: 56.75 56.75 20.45
With the nearest neighbours (Å) after each atom.
Fractional coordinates of all 13 atoms:
Br 0.5000 0.5000 0.5000  4 Tb 3.04
Br 0.1649 0.1649 0.1534  4 Tb 2.94-3.11
Br 0.6058 0.6058 0.9427  3 Tb 2.89-2.95
Br 0.3942 0.3942 0.0573  3 Tb 2.89-2.95
Br 0.8351 0.8351 0.8466  4 Tb 2.94-3.11
Br 0.9472 0.9472 0.2728  3 Tb 2.85-2.98
Br 0.0528 0.0528 0.7272  3 Tb 2.85-2.98
Tb 0.8715 0.8715 0.5625  4 Br 2.85-3.04
Tb 0.3191 0.3191 0.3565  3 Br 2.95-2.98
Tb 0.2294 0.2294 0.8432  5 Br 2.89-3.11
Tb 0.1285 0.1285 0.4375  4 Br 2.85-3.04
Tb 0.6809 0.6809 0.6435  3 Br 2.95-2.98
Tb 0.7706 0.7706 0.1568  5 Br 2.89-3.11

Its space group is C2/m. The energy relative to the elements comes out at -19.587 eV per formula unit.

***

A plane-wave DFT calculation with r2SCAN was carried out for a geometry-optimized UTe4Br5 structure.

abc: 9.1082 12.3333 13.9148
angles: 81.13 76.55 79.15
With the nearest neighbours (Å) after each atom.
Fractional coordinates of all 40 atoms:
Te 0.4972 0.1511 0.1862  2 Te 2.63-2.91
Te 0.9586 0.2234 0.3781  2 Te 2.71-2.77
Te 0.7260 0.3561 0.2972  3 Te 2.77-2.91
Te 0.8795 0.6082 0.6963  2 Te 2.71-2.79
Te 0.1646 0.6752 0.9072  2 Te 2.68-2.85
Te 0.5028 0.8489 0.8138  2 Te 2.63-2.91
Te 0.2740 0.6439 0.7028  3 Te 2.77-2.91
Te 0.1205 0.3918 0.3037  2 Te 2.71-2.79
Te 0.5014 0.7912 0.6398  2 Te 2.63-2.91
Te 0.0805 0.1708 0.1102  2 Te 2.68-2.80
Te 0.4986 0.2088 0.3602  2 Te 2.63-2.91
Te 0.0414 0.7766 0.6219  2 Te 2.71-2.77
Te 0.9195 0.8292 0.8898  2 Te 2.68-2.80
Te 0.7328 0.6760 0.8821  3 Te 2.79-2.91
Te 0.8354 0.3248 0.0928  2 Te 2.68-2.85
Te 0.2672 0.3240 0.1179  3 Te 2.79-2.91
Br 0.4551 0.8633 0.0685  1 U 2.73
Br 0.2451 0.3283 0.8133  2 U 2.94-2.97
Br 0.1362 0.6805 0.1757  2 U 2.96-3.00
Br 0.1227 0.3830 0.5641  1 U 2.70
Br 0.3714 0.5818 0.4100  1 U 2.70
Br 0.5025 0.4831 0.8581  1 U 2.89
Br 0.8438 0.1209 0.6818  2 U 2.91-2.99
Br 0.8638 0.3195 0.8243  2 U 2.96-3.00
Br 0.7927 0.9264 0.4687  1 U 2.82
Br 0.5314 0.8551 0.3481  2 U 2.92-2.97
Br 0.2073 0.0736 0.5313  1 U 2.82
Br 0.6286 0.4182 0.5900  1 U 2.70
Br 0.4686 0.1449 0.6519  2 U 2.92-2.97
Br 0.7549 0.6717 0.1867  2 U 2.94-2.97
Br 0.4975 0.5169 0.1419  1 U 2.89
Br 0.5449 0.1367 0.9315  1 U 2.73
Br 0.1562 0.8791 0.3182  2 U 2.91-2.99
Br 0.1467 0.0265 0.8475  1 U 2.76
Br 0.8773 0.6170 0.4359  1 U 2.70
Br 0.8533 0.9735 0.1525  1 U 2.76
U 0.8704 0.8025 0.3045  7 Br 2.70-2.99
U 0.4155 0.7179 0.2380  7 Br 2.70-3.00
U 0.5845 0.2821 0.7620  7 Br 2.70-3.00
U 0.1296 0.1975 0.6955  7 Br 2.70-2.99

Its space group is P-1. The energy relative to the elements comes out at -9.046 eV per formula unit.

***

- Which value of energy relative to the elements does entry 4 give?
  -2.906 eV per formula unit

***

- energy relative to the elements of number 6 (UTe4Br5)?
  -9.046 eV per formula unit

***

- Which value of energy relative to the elements does entry 6 give?
  -9.046 eV per formula unit

***

- Look up the energy relative to the elements of the first one.
  -10.362 eV per formula unit